Model a:
This record from Materials Project describes a relaxed CuPb2O2F2 crystal. The functional is PBE.

SG: I4/mmm (139)

Lattice parameters (Å, degrees): 7.3379 7.3379 7.3379 148.09 148.09 45.76
Last column: nearest neighbours and their distance in Å.
Fractional positions:
F: 0.7500 0.2500 0.5000  4 Pb 2.57, 4 F 2.85
Pb: 0.6326 0.6326 0.0000  4 F 2.57, 4 O 2.70
Cu: 0.0000 0.0000 0.0000  4 O 2.02
O: 0.5000 0.0000 0.5000  2 Cu 2.02
O: 0.0000 0.5000 0.5000  2 Cu 2.02
Pb: 0.3674 0.3674 0.0000  4 F 2.57, 4 O 2.70
F: 0.2500 0.7500 0.5000  4 Pb 2.57, 4 F 2.85

---

Model b:
This record from Materials Project describes a relaxed CuPb2O2F2 crystal. The functional is PBE.

SG: I4/mmm (139)

Lattice parameters (Å, degrees): 7.8644 7.8644 7.8644 150.25 150.25 42.58
Last column: nearest neighbours and their distance in Å.
Fractional positions:
F: 0.5000 0.0000 0.5000  2 Cu 2.02
Pb: 0.3322 0.3322 0.0000  4 O 2.35
F: 0.0000 0.5000 0.5000  2 Cu 2.02
Pb: 0.6678 0.6678 0.0000  4 O 2.35
O: 0.7500 0.2500 0.5000  4 Pb 2.35
O: 0.2500 0.7500 0.5000  4 Pb 2.35
Cu: 0.0000 0.0000 0.0000  4 F 2.02

---

Computed stability ranking, most favorable first: model a, model b

---

Model a:
This record from Materials Project describes a relaxed Zr2Cu3O16F14 crystal. The functional is PBE.

SG: P2_1/c (14)

Lattice parameters (Å, degrees): 10.5327 9.3444 10.4425 82.75 90.00 90.00
Last column: nearest neighbours and their distance in Å.
Fractional positions:
O: 0.8847 0.8577 0.4157  1 O 1.82
O: 0.1401 0.9805 0.3788  1 Cu 1.97, 1 F 2.12
O: 0.3816 0.5248 0.2692  1 O 1.23
O: 0.9509 0.6778 0.4582  1 O 1.21
O: 0.4437 0.8294 0.1041  1 Cu 1.91, 1 F 2.13
O: 0.6153 0.8577 0.9157  1 O 1.82
F: 0.6417 0.3190 0.4934  1 Cu 1.90
F: 0.9218 0.6068 0.9190  1 Cu 1.87
Cu: 0.3903 0.5572 0.6622  1 O 1.72, 2 F 1.87-1.90
Cu: 0.5000 0.0000 0.0000  6 O 1.91-2.08
F: 0.4218 0.3932 0.5810  1 Cu 1.87
F: 0.2285 0.2105 0.9754  1 O 2.05, 1 Zr 2.22
Zr: 0.5313 0.8261 0.4535  8 F 2.06-2.30
O: 0.8713 0.5881 0.4943  1 O 1.21
O: 0.8599 0.0195 0.6212  1 Cu 1.97, 1 F 2.12
Cu: 0.0000 0.0000 0.5000  6 O 1.91-2.08
O: 0.2062 0.4422 0.7534  1 O 1.23
Cu: 0.8903 0.4428 0.8378  1 O 1.72, 2 F 1.87-1.90
F: 0.8583 0.3190 0.9934  1 Cu 1.90
O: 0.2938 0.4422 0.2534  1 O 1.23
Zr: 0.0313 0.1739 0.0465  8 F 2.06-2.30
O: 0.8690 0.3474 0.7087  1 Cu 1.72
F: 0.8552 0.8674 0.7896  1 Zr 2.08, 1 O 2.12
F: 0.7715 0.7895 0.0246  1 O 2.05, 1 Zr 2.22
O: 0.3599 0.9805 0.8788  1 Cu 1.97, 1 F 2.12
F: 0.6448 0.8674 0.2896  1 Zr 2.08, 1 O 2.12
O: 0.0491 0.3222 0.5418  1 O 1.21
Cu: 0.1097 0.5572 0.1622  1 O 1.72, 2 F 1.87-1.90
F: 0.3552 0.1326 0.7104  1 Zr 2.08, 1 O 2.12
F: 0.2715 0.2105 0.4754  1 O 2.05, 1 Zr 2.22
F: 0.1086 0.9697 0.0159  2 Zr 2.14-2.15, 1 F 2.37
O: 0.9437 0.1706 0.3959  1 Cu 1.91, 1 F 2.13
F: 0.1448 0.1326 0.2104  1 Zr 2.08, 1 O 2.12
O: 0.1184 0.5248 0.7692  1 O 1.23
O: 0.5563 0.1706 0.8959  1 Cu 1.91, 1 F 2.13
O: 0.4509 0.3222 0.0418  1 O 1.21
F: 0.0970 0.8495 0.8011  1 Zr 2.08, 1 O 2.13
F: 0.7285 0.7895 0.5246  1 O 2.05, 1 Zr 2.22
O: 0.6401 0.0195 0.1212  1 Cu 1.97, 1 F 2.12
O: 0.3690 0.6526 0.7913  1 Cu 1.72
O: 0.7062 0.5578 0.7466  1 O 1.23
O: 0.6287 0.5881 0.9943  1 O 1.21
F: 0.4653 0.2382 0.3505  1 Zr 2.06
O: 0.3713 0.4119 0.0057  1 O 1.21
F: 0.5347 0.7618 0.6495  1 Zr 2.06
F: 0.5970 0.1505 0.6989  1 Zr 2.08, 1 O 2.13
F: 0.0347 0.2382 0.8505  1 Zr 2.06
O: 0.5491 0.6778 0.9582  1 O 1.21
O: 0.1310 0.6526 0.2913  1 Cu 1.72
F: 0.9030 0.1505 0.1989  1 Zr 2.08, 1 O 2.13
F: 0.6086 0.0303 0.4841  2 Zr 2.14-2.15, 1 F 2.37
O: 0.6310 0.3474 0.2087  1 Cu 1.72
O: 0.7938 0.5578 0.2466  1 O 1.23
O: 0.1153 0.1423 0.5843  1 O 1.82
F: 0.0782 0.3932 0.0810  1 Cu 1.87
F: 0.8914 0.0303 0.9841  2 Zr 2.14-2.15, 1 F 2.37
O: 0.3847 0.1423 0.0843  1 O 1.82
F: 0.4030 0.8495 0.3011  1 Zr 2.08, 1 O 2.13
Zr: 0.4687 0.1739 0.5465  8 F 2.06-2.30
O: 0.0563 0.8294 0.6041  1 Cu 1.91, 1 F 2.13
O: 0.6184 0.4752 0.7308  1 O 1.23
F: 0.1417 0.6810 0.0066  1 Cu 1.90
O: 0.1287 0.4119 0.5057  1 O 1.21
F: 0.3583 0.6810 0.5066  1 Cu 1.90
Cu: 0.6097 0.4428 0.3378  1 O 1.72, 2 F 1.87-1.90
O: 0.8816 0.4752 0.2308  1 O 1.23
F: 0.9653 0.7618 0.1495  1 Zr 2.06
Zr: 0.9687 0.8261 0.9535  8 F 2.06-2.30
F: 0.5782 0.6068 0.4190  1 Cu 1.87
F: 0.3914 0.9697 0.5159  2 Zr 2.14-2.15, 1 F 2.37

---

Model b:
This record from Materials Project describes a relaxed Zr2Cu3O16F14 crystal. The functional is PBE.

SG: P2_1/c (14)

Lattice parameters (Å, degrees): 11.5562 9.9765 10.3348 89.05 90.00 90.00
Last column: nearest neighbours and their distance in Å.
Fractional positions:
O: 0.9066 0.3486 0.0254  1 F 1.44
F: 0.5695 0.3238 0.1737  1 Zr 1.97
O: 0.4300 0.9221 0.7465  1 O 1.22
F: 0.2157 0.9514 0.1945  1 Zr 1.97
O: 0.3178 0.0845 0.4989  1 Cu 1.72
O: 0.4891 0.9357 0.6488  1 O 1.22
Zr: 0.4516 0.4656 0.1624  4 F 1.94-2.07
O: 0.5109 0.0643 0.3512  1 O 1.22
Zr: 0.0484 0.9656 0.1624  4 F 1.94-2.07
F: 0.9721 0.8579 0.7655  1 Zr 1.94
O: 0.0916 0.3794 0.0686  1 Cu 1.74
F: 0.0606 0.8825 0.3698  1 Cu 1.83
O: 0.8380 0.6863 0.5981  1 O 1.23
Zr: 0.9516 0.0344 0.8376  4 F 1.94-2.07
O: 0.6043 0.2688 0.5370  1 O 1.23
F: 0.0695 0.1762 0.8263  1 Zr 1.97
F: 0.5279 0.3579 0.7655  1 Zr 1.94
F: 0.2843 0.4514 0.1945  1 Zr 1.97
O: 0.9891 0.5643 0.3512  1 O 1.22
O: 0.0109 0.4357 0.6488  1 O 1.22
F: 0.4721 0.6421 0.2345  1 Zr 1.94
Cu: 0.5000 0.0000 0.0000  4 O 1.74-1.87
F: 0.4305 0.6762 0.8263  1 Zr 1.97
F: 0.9081 0.0497 0.0312  2 Zr 2.07-2.27
F: 0.4081 0.4503 0.9688  2 Zr 2.07-2.27
O: 0.6822 0.9155 0.5011  1 Cu 1.72
F: 0.9394 0.1175 0.6302  1 Cu 1.83
F: 0.7843 0.0486 0.8055  1 Zr 1.97
O: 0.3366 0.2635 0.6269  1 F 1.42
Cu: 0.6197 0.7649 0.5460  2 O 1.72-1.88, 1 F 1.83
Cu: 0.8803 0.2649 0.5460  2 O 1.72-1.88, 1 F 1.83
O: 0.1620 0.3137 0.4019  1 O 1.23
O: 0.9084 0.6206 0.9314  1 Cu 1.74
O: 0.3957 0.7312 0.4630  1 O 1.23
O: 0.6634 0.7365 0.3731  1 F 1.42
F: 0.7157 0.5486 0.8055  1 Zr 1.97
F: 0.6461 0.8103 0.9052  1 O 1.44
F: 0.3161 0.4034 0.6378  1 O 1.42
F: 0.4394 0.3825 0.3698  1 Cu 1.83
F: 0.3539 0.1897 0.0948  1 O 1.44
O: 0.3380 0.8137 0.4019  1 O 1.23
O: 0.0934 0.6514 0.9746  1 F 1.44
O: 0.0700 0.4221 0.7465  1 O 1.22
O: 0.8957 0.7688 0.5370  1 O 1.23
O: 0.8178 0.4155 0.5011  1 Cu 1.72
O: 0.8366 0.2365 0.3731  1 F 1.42
F: 0.9305 0.8238 0.1737  1 Zr 1.97
F: 0.0919 0.9503 0.9688  2 Zr 2.07-2.27
F: 0.6839 0.5966 0.3622  1 O 1.42
O: 0.4066 0.1514 0.9746  1 F 1.44
O: 0.1822 0.5845 0.4989  1 Cu 1.72
Cu: 0.0000 0.5000 0.0000  4 O 1.74-1.87
O: 0.5934 0.8486 0.0254  1 F 1.44
F: 0.1461 0.6897 0.0948  1 O 1.44
O: 0.5916 0.1206 0.9314  1 Cu 1.74
Cu: 0.1197 0.7351 0.4540  2 O 1.72-1.88, 1 F 1.83
O: 0.6620 0.1863 0.5981  1 O 1.23
O: 0.4084 0.8794 0.0686  1 Cu 1.74
O: 0.5700 0.0779 0.2535  1 O 1.22
O: 0.1634 0.7635 0.6269  1 F 1.42
Zr: 0.5484 0.5344 0.8376  4 F 1.94-2.07
F: 0.5606 0.6175 0.6302  1 Cu 1.83
F: 0.8539 0.3103 0.9052  1 O 1.44
Cu: 0.3803 0.2351 0.4540  2 O 1.72-1.88, 1 F 1.83
O: 0.1043 0.2312 0.4630  1 O 1.23
F: 0.0279 0.1421 0.2345  1 Zr 1.94
O: 0.9300 0.5779 0.2535  1 O 1.22
F: 0.8161 0.0966 0.3622  1 O 1.42
F: 0.5919 0.5497 0.0312  2 Zr 2.07-2.27
F: 0.1839 0.9034 0.6378  1 O 1.42

---

Computed stability ranking, most favorable first: model b, model a

---

Model a:
This record from Materials Project describes a relaxed CuSnF6 crystal. The functional is PBE.

SG: P-1 (2)

Lattice parameters (Å, degrees): 5.1779 5.2719 5.4936 62.64 89.78 62.29
Last column: nearest neighbours and their distance in Å.
Fractional positions:
Cu: 0.0000 0.0000 0.0000  4 F 1.95
F: 0.1293 0.1151 0.2475  1 Cu 1.95, 1 Sn 2.03
F: 0.2445 0.1247 0.7535  1 Cu 1.95, 1 Sn 2.03
F: 0.8707 0.8849 0.7525  1 Cu 1.95, 1 Sn 2.03
F: 0.7555 0.8753 0.2465  1 Cu 1.95, 1 Sn 2.03
F: 0.6062 0.5326 0.7343  1 Sn 1.96
Sn: 0.5000 0.0000 0.5000  6 F 1.96-2.03
F: 0.3938 0.4674 0.2657  1 Sn 1.96

---

Model b:
This record from Materials Project describes a relaxed CuSnF6 crystal. The functional is PBE.

SG: R-3 (148)

Lattice parameters (Å, degrees): 5.3069 5.3069 5.5830 61.62 61.62 60.00
Last column: nearest neighbours and their distance in Å.
Fractional positions:
F: 0.2495 0.8652 0.2479  1 Sn 2.01, 1 Cu 2.03
F: 0.7505 0.1348 0.7521  1 Sn 2.01, 1 Cu 2.03
F: 0.1348 0.3626 0.7521  1 Sn 2.01, 1 Cu 2.03
F: 0.8652 0.6374 0.2479  1 Sn 2.01, 1 Cu 2.03
Sn: 0.0000 0.0000 0.0000  6 F 2.01
F: 0.3626 0.7505 0.7521  1 Sn 2.01, 1 Cu 2.03
Cu: 0.5000 0.5000 0.5000  6 F 2.03
F: 0.6374 0.2495 0.2479  1 Sn 2.01, 1 Cu 2.03

---

Computed stability ranking, most favorable first: model a, model b

---

Model a:
This record from Materials Project describes a relaxed MgFe2Cu2S4 crystal. The functional is PBE.

SG: P-42m (111)

Lattice parameters (Å, degrees): 5.2956 5.3225 5.3225 90.04 90.00 90.00
Last column: nearest neighbours and their distance in Å.
Fractional positions:
S: 0.7320 0.2354 0.7646  2 Fe 2.25, 2 Cu 2.27-2.45, 1 Mg 2.34
Fe: 0.4995 0.5000 0.0000  4 S 2.25
S: 0.2684 0.7648 0.7648  2 Fe 2.25, 2 Cu 2.27-2.45, 1 Mg 2.34
S: 0.2684 0.2352 0.2352  2 Fe 2.25, 2 Cu 2.27-2.45, 1 Mg 2.34
Mg: 0.5003 0.5000 0.5000  4 S 2.34
S: 0.7320 0.7646 0.2354  2 Fe 2.25, 2 Cu 2.27-2.45, 1 Mg 2.34
Cu: 0.0002 0.5000 0.5000  4 S 2.45, 2 Mg 2.65
Cu: 0.9999 0.0000 0.0000  4 S 2.27
Fe: 0.4995 0.0000 0.5000  4 S 2.25

---

Model b:
This record from Materials Project describes a relaxed MgFe2Cu2S4 crystal. The functional is PBE.

SG: C2 (5)

Lattice parameters (Å, degrees): 5.4179 5.2638 6.7279 113.61 113.75 89.99
Last column: nearest neighbours and their distance in Å.
Fractional positions:
S: 0.5975 0.0891 0.7032  2 Cu 2.22-2.42, 2 Fe 2.26-2.43
Fe: 0.9603 0.0477 0.0021  4 S 2.26-2.43
Cu: 0.5260 0.4559 0.9715  4 S 2.22-2.47
Cu: 0.8034 0.2949 0.5289  4 S 2.22-2.47
Mg: 0.3972 0.8749 0.2500  6 S 2.52-2.80, 2 Cu 2.57, 2 Fe 2.69
Fe: 0.2077 0.7018 0.4975  4 S 2.26-2.43
S: 0.8806 0.8752 0.2501  2 Fe 2.36, 2 Cu 2.42-2.43, 1 Mg 2.62
S: 0.3828 0.3749 0.2499  2 Fe 2.37, 2 Cu 2.47, 2 Mg 2.63
S: 0.1445 0.6606 0.7967  2 Cu 2.22-2.42, 2 Fe 2.26-2.43

---

Computed stability ranking, most favorable first: model b, model a

---

Model a:
This record from Materials Project describes a relaxed MgFe2Cu2S4 crystal. The functional is PBE.

SG: C2 (5)

Lattice parameters (Å, degrees): 5.4396 5.4670 6.6263 114.52 114.39 89.69
Last column: nearest neighbours and their distance in Å.
Fractional positions:
S: 0.1335 0.6326 0.7549  2 Cu 2.29-2.39, 2 Fe 2.33, 1 Mg 2.42
S: 0.6219 0.1231 0.7548  2 Cu 2.29-2.39, 2 Fe 2.33, 1 Mg 2.42
Cu: 0.7526 0.2524 0.5037  4 S 2.39-2.42
Fe: 0.9998 0.0000 0.9997  4 S 2.27-2.33
S: 0.8887 0.8761 0.2430  2 Fe 2.27-2.34, 1 Mg 2.39, 2 Cu 2.42-2.44
S: 0.3550 0.3671 0.2425  2 Fe 2.27-2.34, 1 Mg 2.39, 2 Cu 2.42-2.44
Fe: 0.2512 0.7507 0.5016  4 S 2.33-2.34
Mg: 0.7418 0.7421 0.4830  4 S 2.39-2.42, 1 Cu 2.68
Cu: 0.4931 0.4933 0.9856  4 S 2.29-2.44

---

Model b:
This record from Materials Project describes a relaxed MgFe2Cu2S4 crystal. The functional is PBE.

SG: P-42m (111)

Lattice parameters (Å, degrees): 5.2053 5.3347 5.3347 89.99 90.00 90.00
Last column: nearest neighbours and their distance in Å.
Fractional positions:
Cu: 0.0000 0.0000 0.0000  4 S 2.40, 2 Mg 2.67
Fe: 0.5001 0.0000 0.5000  4 S 2.16
S: 0.7161 0.7549 0.2549  2 Fe 2.16-2.23, 2 Cu 2.40
Fe: 0.5000 0.5000 0.0000  4 S 2.23
Cu: 0.0000 0.5000 0.5000  4 S 2.40, 2 Mg 2.67
S: 0.2838 0.7549 0.7451  2 Fe 2.16-2.23, 2 Cu 2.40
Mg: 0.0000 0.5000 0.0000  4 S 2.43, 2 Fe 2.60, 4 Cu 2.67
S: 0.2838 0.2451 0.2549  2 Fe 2.16-2.23, 2 Cu 2.40
S: 0.7161 0.2451 0.7451  2 Fe 2.16-2.23, 2 Cu 2.40

---

Computed stability ranking, most favorable first: model a, model b

---

Model a:
This record from Materials Project describes a relaxed FeCu2S2 crystal. The functional is PBE.

SG: F-43m (216)

Lattice parameters (Å, degrees): 7.6392 7.6392 7.6392 60.00 60.00 60.00
Last column: nearest neighbours and their distance in Å.
Fractional positions:
Cu: 0.8796 0.8796 0.8796  4 S 2.35-2.43
S: 0.7436 0.2564 0.7436  2 Fe 2.29, 4 Cu 2.35-2.41
S: 0.2500 0.2500 0.2500  4 Cu 2.24
Fe: 0.1275 0.6242 0.6242  4 S 2.29-2.35
Cu: 0.6093 0.1302 0.1302  4 S 2.24-2.41
Cu: 0.1302 0.6093 0.1302  4 S 2.24-2.41
S: 0.7500 0.7500 0.7500  4 Fe 2.35, 4 Cu 2.43
Cu: 0.8796 0.8796 0.3611  4 S 2.35-2.43
Cu: 0.8796 0.3611 0.8796  4 S 2.35-2.43
S: 0.7436 0.2564 0.2564  2 Fe 2.29, 4 Cu 2.35-2.41
S: 0.7436 0.7436 0.2564  2 Fe 2.29, 4 Cu 2.35-2.41
Fe: 0.6242 0.6242 0.1275  4 S 2.29-2.35
S: 0.2564 0.7436 0.7436  2 Fe 2.29, 4 Cu 2.35-2.41
S: 0.2564 0.2564 0.7436  2 Fe 2.29, 4 Cu 2.35-2.41
S: 0.2564 0.7436 0.2564  2 Fe 2.29, 4 Cu 2.35-2.41
Fe: 0.6242 0.1275 0.6242  4 S 2.29-2.35
Cu: 0.1302 0.1302 0.6093  4 S 2.24-2.41
Fe: 0.6242 0.6242 0.6242  4 S 2.29-2.35
Cu: 0.3611 0.8796 0.8796  4 S 2.35-2.43
Cu: 0.1302 0.1302 0.1302  4 S 2.24-2.41

---

Model b:
This record from Materials Project describes a relaxed FeCu2S2 crystal. The functional is PBE.

SG: F-43m (216)

Lattice parameters (Å, degrees): 7.6473 7.6473 7.6473 60.00 60.00 60.00
Last column: nearest neighbours and their distance in Å.
Fractional positions:
S: 0.5027 0.9973 0.9973  2 Fe 2.32, 4 Cu 2.33-2.37
Cu: 0.6188 0.1436 0.6188  4 S 2.23-2.37
Cu: 0.1303 0.6091 0.1303  4 S 2.33-2.44
S: 0.5000 0.5000 0.5000  4 Cu 2.23
S: 0.9973 0.5027 0.9973  2 Fe 2.32, 4 Cu 2.33-2.37
Cu: 0.1303 0.1303 0.1303  4 S 2.33-2.44
Cu: 0.6091 0.1303 0.1303  4 S 2.33-2.44
Cu: 0.1303 0.1303 0.6091  4 S 2.33-2.44
Fe: 0.8748 0.8748 0.3756  4 S 2.32-2.35
Cu: 0.6188 0.6188 0.1436  4 S 2.23-2.37
Cu: 0.6188 0.6188 0.6188  4 S 2.23-2.37
Fe: 0.8748 0.3756 0.8748  4 S 2.32-2.35
Fe: 0.3756 0.8748 0.8748  4 S 2.32-2.35
S: 0.9973 0.5027 0.5027  2 Fe 2.32, 4 Cu 2.33-2.37
S: 0.5027 0.9973 0.5027  2 Fe 2.32, 4 Cu 2.33-2.37
Fe: 0.8748 0.8748 0.8748  4 S 2.32-2.35
S: 0.0000 0.0000 0.0000  4 Fe 2.35, 4 Cu 2.44
S: 0.9973 0.9973 0.5027  2 Fe 2.32, 4 Cu 2.33-2.37
S: 0.5027 0.5027 0.9973  2 Fe 2.32, 4 Cu 2.33-2.37
Cu: 0.1436 0.6188 0.6188  4 S 2.23-2.37

---

Computed stability ranking, most favorable first: model b, model a